(w)
VASP calculation (GGA+U) on a relaxed LiV2F7 crystal.

magnetization: 4.000 μB per formula unit
crystal system: triclinic
calculated volume: 147.4 Å³/f.u.

Cell lengths 5.4336, 6.9261, 8.5254 Å; angles 109.37, 103.14, 86.10 degrees
Closest atoms and distances in Å follow each position.
Fractional positions:
F1 0.0651 0.6131 0.8822  2 V 1.93-2.05
F2 0.1924 0.4384 0.4259  3 V 2.05-2.20
F3 0.9349 0.3869 0.1178  2 V 1.93-2.05
F4 0.6664 0.8199 0.0440  1 V 1.86, 1 Li 1.91
F5 0.0838 0.2126 0.6206  1 V 1.87, 1 Li 1.91
F6 0.6687 0.2367 0.2879  1 Li 2.01, 2 V 2.04-2.09
F7 0.8076 0.5616 0.5741  3 V 2.05-2.20
F8 0.4554 0.5526 0.2365  2 V 1.97-1.99
F9 0.3313 0.7633 0.7121  1 Li 2.01, 2 V 2.04-2.09
F10 0.5446 0.4474 0.7635  2 V 1.97-1.99
F11 0.8325 0.9472 0.7925  1 V 1.88, 1 Li 1.90
F12 0.3336 0.1801 0.9560  1 V 1.86, 1 Li 1.91
F13 0.9162 0.7874 0.3794  1 V 1.87, 1 Li 1.91
F14 0.1675 0.0528 0.2075  1 V 1.88, 1 Li 1.90
V1 0.8176 0.5149 0.3253  5 F 1.87-2.05
V2 0.2934 0.2817 0.1793  4 F 1.86-2.05
V3 0.1824 0.4851 0.6747  5 F 1.87-2.05
V4 0.7066 0.7183 0.8207  4 F 1.86-2.05
Li1 0.8701 0.9777 0.2566  4 F 1.90-2.01
Li2 0.1299 0.0223 0.7434  4 F 1.90-2.01

---

(x)
VASP calculation (GGA+U) on a relaxed LiV2F7 crystal.

magnetization: 4.000 μB per formula unit
crystal system: orthorhombic
calculated volume: 144.4 Å³/f.u.

Cell lengths 7.4695, 7.4695, 7.4695 Å; angles 123.02, 119.39, 87.95 degrees
Closest atoms and distances in Å follow each position.
Fractional positions:
F1 0.0499 0.2944 0.2445  1 Li 1.82, 1 V 1.90
F2 0.9501 0.7056 0.7555  1 Li 1.82, 1 V 1.90
F3 0.3186 0.6848 0.7613  2 V 1.96-2.03
F4 0.2500 0.0945 0.8445  2 V 2.00
F5 0.1814 0.9426 0.3662  2 V 1.96-2.03
F6 0.9236 0.6848 0.3662  2 V 1.96-2.03
F7 0.0764 0.3152 0.6338  2 V 1.96-2.03
F8 0.6814 0.3152 0.2387  2 V 1.96-2.03
F9 0.5764 0.9426 0.7613  2 V 1.96-2.03
F10 0.7500 0.9055 0.1555  2 V 2.00
F11 0.5499 0.3054 0.7555  1 Li 1.82, 1 V 1.90
F12 0.8186 0.0574 0.6338  2 V 1.96-2.03
F13 0.4236 0.0574 0.2387  2 V 1.96-2.03
F14 0.4501 0.6946 0.2445  1 Li 1.82, 1 V 1.90
V1 0.0000 0.0000 0.5000  6 F 1.96-2.00
V2 0.0000 0.5000 0.5000  6 F 1.90-2.03
V3 0.5000 0.0000 0.0000  6 F 1.96-2.00
V4 0.5000 0.0000 0.5000  6 F 1.90-2.03
Li1 0.5000 0.5000 0.0000  2 F 1.82
Li2 0.0000 0.0000 0.0000  2 F 1.82

---

(y)
VASP calculation (GGA+U) on a relaxed LiV2F7 crystal.

magnetization: 4.000 μB per formula unit
crystal system: monoclinic
calculated volume: 127.9 Å³/f.u.

Cell lengths 7.8719, 7.8719, 5.2252 Å; angles 75.58, 75.58, 55.41 degrees
Closest atoms and distances in Å follow each position.
Fractional positions:
F1 0.8489 0.9118 0.9908  2 V 1.96-2.02
F2 0.9118 0.8489 0.4908  2 V 1.96-2.02
F3 0.1511 0.0882 0.0092  2 V 1.96-2.02
F4 0.4176 0.1883 0.0083  2 V 2.01-2.03
F5 0.0000 0.5000 0.0000  2 V 2.00
F6 0.3861 0.7225 0.4454  2 Li 1.90-1.99, 1 V 1.95
F7 0.8117 0.5824 0.4917  2 V 2.01-2.03
F8 0.5000 0.0000 0.5000  2 V 2.00
F9 0.7225 0.3861 0.9454  2 Li 1.90-1.99, 1 V 1.95
F10 0.1883 0.4176 0.5083  2 V 2.01-2.03
F11 0.2775 0.6139 0.0546  2 Li 1.90-1.99, 1 V 1.95
F12 0.6139 0.2775 0.5546  2 Li 1.90-1.99, 1 V 1.95
F13 0.5824 0.8117 0.9917  2 V 2.01-2.03
F14 0.0882 0.1511 0.5092  2 V 1.96-2.02
V1 0.9863 0.3486 0.7583  6 F 1.95-2.03
V2 0.0137 0.6514 0.2417  6 F 1.95-2.03
V3 0.3486 0.9863 0.2583  6 F 1.95-2.03
V4 0.6514 0.0137 0.7417  6 F 1.95-2.03
Li1 0.5202 0.4798 0.2500  4 F 1.90-1.99
Li2 0.4798 0.5202 0.7500  4 F 1.90-1.99

---

Energetically preferred structure: (x) | next structure: +3.1 kJ/mol of atoms

---

(w)
VASP calculation (GGA+U) on a relaxed Li3MnB2O6 crystal.

magnetization: 4.000 μB per formula unit
crystal system: monoclinic
calculated volume: 120.4 Å³/f.u.

Cell lengths 6.1602, 9.2635, 9.2796 Å; angles 65.48, 90.00, 90.00 degrees
Closest atoms and distances in Å follow each position.
Fractional positions:
Li1 0.7622 0.6122 0.5127  4 O 1.93-2.14
Li2 0.7750 0.1208 0.5803  3 O 1.91-2.09
Li3 0.9352 0.2891 0.1851  4 O 1.93-2.12
Li4 0.5648 0.2891 0.6851  4 O 1.93-2.12
Li5 0.2622 0.3878 0.9873  4 O 1.93-2.14
Li6 0.2750 0.8792 0.9197  3 O 1.91-2.09
Li7 0.2378 0.3878 0.4873  4 O 1.93-2.14
Li8 0.4352 0.7109 0.3149  4 O 1.93-2.12
Li9 0.7378 0.6122 0.0127  4 O 1.93-2.14
Li10 0.0648 0.7109 0.8149  4 O 1.93-2.12
Li11 0.7250 0.1208 0.0803  3 O 1.91-2.09
Li12 0.2250 0.8792 0.4197  3 O 1.91-2.09
O1 0.2744 0.0755 0.4364  1 B 1.40
O2 0.8295 0.4129 0.6863  1 B 1.40
O3 0.8081 0.5883 0.8197  1 B 1.34
O4 0.7256 0.9245 0.5636  1 B 1.40
O5 0.6919 0.5883 0.3197  1 B 1.34
O6 0.7744 0.9245 0.0636  1 B 1.40
O7 0.1919 0.4117 0.1803  1 B 1.34
O8 0.9459 0.3153 0.9469  1 B 1.42
O9 0.0541 0.6847 0.0531  1 B 1.42
O10 0.5954 0.8177 0.8988  1 B 1.40
O11 0.4459 0.6847 0.5531  1 B 1.42
O12 0.1705 0.5871 0.3137  1 B 1.40
O13 0.0954 0.1823 0.6012  1 B 1.40
O14 0.2813 0.9073 0.2054  1 B 1.37
O15 0.7813 0.0927 0.2946  1 B 1.37
O16 0.5541 0.3153 0.4469  1 B 1.42
O17 0.2187 0.9073 0.7054  1 B 1.37
O18 0.4046 0.1823 0.1012  1 B 1.40
O19 0.3295 0.5871 0.8137  1 B 1.40
O20 0.3081 0.4117 0.6803  1 B 1.34
O21 0.6705 0.4129 0.1863  1 B 1.40
O22 0.9046 0.8177 0.3988  1 B 1.40
O23 0.2256 0.0755 0.9364  1 B 1.40
O24 0.7187 0.0927 0.7946  1 B 1.37
B1 0.1990 0.0552 0.5856  3 O 1.37-1.40
B2 0.8010 0.9448 0.4144  3 O 1.37-1.40
B3 0.6990 0.9448 0.9144  3 O 1.37-1.40
B4 0.1469 0.5532 0.1811  3 O 1.34-1.42
B5 0.3531 0.5532 0.6811  3 O 1.34-1.42
B6 0.3010 0.0552 0.0856  3 O 1.37-1.40
B7 0.8531 0.4468 0.8189  3 O 1.34-1.42
B8 0.6469 0.4468 0.3189  3 O 1.34-1.42
Mn1 0.0331 0.2270 0.7904  4 O 1.91-2.02
Mn2 0.5331 0.7730 0.7096  4 O 1.91-2.02
Mn3 0.9669 0.7730 0.2096  4 O 1.91-2.02
Mn4 0.4669 0.2270 0.2904  4 O 1.91-2.02

---

(x)
VASP calculation (GGA+U) on a relaxed Li3MnB2O6 crystal.

magnetization: 4.001 μB per formula unit
crystal system: monoclinic
calculated volume: 120.0 Å³/f.u.

Cell lengths 8.0369, 6.1283, 10.9364 Å; angles 62.98, 90.00, 90.00 degrees
Closest atoms and distances in Å follow each position.
Fractional positions:
Li1 0.7869 0.1922 0.3552  3 O 1.93-2.00
Li2 0.7051 0.6589 0.8680  3 O 1.93-2.02
Li3 0.7131 0.1922 0.8552  3 O 1.93-2.00
Li4 0.9504 0.6284 0.1018  2 O 1.91-1.96
Li5 0.5496 0.6284 0.6018  2 O 1.91-1.96
Li6 0.0496 0.3716 0.8982  2 O 1.91-1.96
Li7 0.2869 0.8078 0.1448  3 O 1.93-2.00
Li8 0.2051 0.3411 0.6320  3 O 1.93-2.02
Li9 0.4504 0.3716 0.3982  2 O 1.91-1.96
Li10 0.2949 0.3411 0.1320  3 O 1.93-2.02
Li11 0.7949 0.6589 0.3680  3 O 1.93-2.02
Li12 0.2131 0.8078 0.6448  3 O 1.93-2.00
O1 0.2678 0.4617 0.2659  1 B 1.36
O2 0.2322 0.4617 0.7659  1 B 1.36
O3 0.7678 0.5383 0.2341  1 B 1.36
O4 0.6142 0.0026 0.7712  1 B 1.41
O5 0.3858 0.9974 0.2288  1 B 1.41
O6 0.4547 0.2174 0.9129  1 B 1.41
O7 0.8858 0.0026 0.2712  1 B 1.41
O8 0.9229 0.7553 0.9080  1 B 1.35
O9 0.0771 0.2447 0.0920  1 B 1.35
O10 0.1863 0.8737 0.9642  1 B 1.41
O11 0.9108 0.3796 0.6178  1 B 1.38
O12 0.5453 0.7826 0.0871  1 B 1.41
O13 0.3137 0.8737 0.4642  1 B 1.41
O14 0.7322 0.5383 0.7341  1 B 1.36
O15 0.4108 0.6204 0.8822  1 B 1.38
O16 0.6863 0.1263 0.5358  1 B 1.41
O17 0.9547 0.7826 0.5871  1 B 1.41
O18 0.0892 0.6204 0.3822  1 B 1.38
O19 0.5892 0.3796 0.1178  1 B 1.38
O20 0.4229 0.2447 0.5920  1 B 1.35
O21 0.0453 0.2174 0.4129  1 B 1.41
O22 0.5771 0.7553 0.4080  1 B 1.35
O23 0.1142 0.9974 0.7288  1 B 1.41
O24 0.8137 0.1263 0.0358  1 B 1.41
B1 0.8619 0.5637 0.6490  3 O 1.36-1.41
B2 0.1381 0.4363 0.3510  3 O 1.36-1.41
B3 0.3619 0.4363 0.8510  3 O 1.36-1.41
B4 0.6381 0.5637 0.1490  3 O 1.36-1.41
B5 0.5698 0.1283 0.6313  3 O 1.35-1.41
B6 0.4302 0.8717 0.3687  3 O 1.35-1.41
B7 0.0698 0.8717 0.8687  3 O 1.35-1.41
B8 0.9302 0.1283 0.1313  3 O 1.35-1.41
Mn1 0.4078 0.9328 0.8803  4 O 1.91-1.97
Mn2 0.5922 0.0672 0.1197  4 O 1.91-1.97
Mn3 0.0922 0.9328 0.3803  4 O 1.91-1.97
Mn4 0.9078 0.0672 0.6197  4 O 1.91-1.97

---

(y)
VASP calculation (GGA+U) on a relaxed Li3MnB2O6 crystal.

magnetization: 4.000 μB per formula unit
crystal system: monoclinic
calculated volume: 116.8 Å³/f.u.

Cell lengths 8.0576, 5.8813, 11.0803 Å; angles 62.87, 90.00, 90.00 degrees
Closest atoms and distances in Å follow each position.
Fractional positions:
O1 0.9159 0.3560 0.7171  1 B 1.39
O2 0.5914 0.8127 0.4437  1 B 1.35
O3 0.9144 0.0967 0.2467  1 B 1.39
O4 0.2048 0.7455 0.9723  1 B 1.41
O5 0.9420 0.7505 0.5087  1 B 1.36
O6 0.4159 0.6440 0.7829  1 B 1.39
O7 0.4086 0.1873 0.5563  1 B 1.35
O8 0.4420 0.2495 0.9913  1 B 1.36
O9 0.9086 0.8127 0.9437  1 B 1.35
O10 0.2952 0.7455 0.4723  1 B 1.41
O11 0.7074 0.7411 0.1969  1 B 1.41
O12 0.2074 0.2589 0.3031  1 B 1.41
O13 0.7926 0.7411 0.6969  1 B 1.41
O14 0.0841 0.6440 0.2829  1 B 1.39
O15 0.7048 0.2545 0.5277  1 B 1.41
O16 0.5856 0.0967 0.7467  1 B 1.39
O17 0.0856 0.9033 0.7533  1 B 1.39
O18 0.0580 0.2495 0.4913  1 B 1.36
O19 0.5580 0.7505 0.0087  1 B 1.36
O20 0.4144 0.9033 0.2533  1 B 1.39
O21 0.2926 0.2589 0.8031  1 B 1.41
O22 0.7952 0.2545 0.0277  1 B 1.41
O23 0.0914 0.1873 0.0563  1 B 1.35
O24 0.5841 0.3560 0.2171  1 B 1.39
Li1 0.7246 0.6165 0.8991  4 O 2.03-2.18
Li2 0.2754 0.3835 0.1009  4 O 2.03-2.18
Li3 0.7180 0.0555 0.9106  4 O 2.01-2.20
Li4 0.0614 0.2640 0.8696  3 O 1.92-2.01
Li5 0.4386 0.2640 0.3696  3 O 1.92-2.01
Li6 0.2246 0.3835 0.6009  4 O 2.03-2.18
Li7 0.7820 0.0555 0.4106  4 O 2.01-2.20
Li8 0.2180 0.9445 0.5894  4 O 2.01-2.20
Li9 0.7754 0.6165 0.3991  4 O 2.03-2.18
Li10 0.5614 0.7360 0.6304  3 O 1.92-2.01
Li11 0.2820 0.9445 0.0894  4 O 2.01-2.20
Li12 0.9386 0.7360 0.1304  3 O 1.92-2.01
B1 0.3873 0.3848 0.8613  3 O 1.36-1.41
B2 0.9397 0.1883 0.1080  3 O 1.35-1.41
B3 0.6127 0.6152 0.1387  3 O 1.36-1.41
B4 0.0603 0.8117 0.8920  3 O 1.35-1.41
B5 0.5603 0.1883 0.6080  3 O 1.35-1.41
B6 0.1127 0.3848 0.3613  3 O 1.36-1.41
B7 0.8873 0.6152 0.6387  3 O 1.36-1.41
B8 0.4397 0.8117 0.3920  3 O 1.35-1.41
Mn1 0.6110 0.0875 0.1531  5 O 1.95-2.10
Mn2 0.1110 0.9125 0.3469  5 O 1.95-2.10
Mn3 0.3890 0.9125 0.8469  5 O 1.95-2.10
Mn4 0.8890 0.0875 0.6531  5 O 1.95-2.10

---

Energetically preferred structure: (w) | next structure: +3.0 kJ/mol of atoms

---

(w)
VASP calculation (GGA+U) on a relaxed ZnNi2O4 crystal.

magnetization: 3.344 μB per formula unit
crystal system: triclinic
calculated volume: 71.9 Å³/f.u.

Cell lengths 5.8852, 5.8819, 17.5769 Å; angles 59.91, 60.52, 60.00 degrees
Closest atoms and distances in Å follow each position.
Fractional positions:
Zn1 0.1396 0.1183 0.0413  4 O 1.97-1.98
Zn2 0.5005 0.5020 0.3319  6 O 2.04-2.12
Zn3 0.4994 0.4981 0.6681  6 O 2.04-2.12
Zn4 0.9997 0.5002 0.1665  6 O 2.05-2.10
Zn5 0.9992 0.4999 0.8337  6 O 2.05-2.08
Zn6 0.9999 0.5002 0.4999  6 O 2.03-2.11
Ni1 0.4992 0.4996 0.0006  6 O 1.92-2.03
Ni2 0.8699 0.8805 0.2897  4 O 1.89-1.92
Ni3 0.1291 0.1193 0.3774  4 O 1.93-1.97
Ni4 0.5027 0.0041 0.1649  6 O 1.91-2.03
Ni5 0.8699 0.8798 0.6235  4 O 1.93-1.98
Ni6 0.4979 0.9961 0.8348  6 O 1.92-2.06
Ni7 0.5028 0.4983 0.1649  6 O 1.91-2.02
Ni8 0.4999 0.5000 0.5001  6 O 1.92-2.02
Ni9 0.4978 0.5018 0.8348  6 O 1.93-2.06
Ni10 0.8623 0.8814 0.9582  4 O 1.95-1.97
Ni11 0.1310 0.1204 0.7093  4 O 1.86-1.90
Ni12 0.4999 0.9999 0.5001  6 O 1.92-2.02
O1 0.7180 0.7506 0.0936  3 Ni 1.95-1.96, 1 Zn 2.08
O2 0.2708 0.2450 0.5797  3 Ni 1.87-2.02
O3 0.2806 0.2538 0.9040  2 Ni 1.95, 2 Zn 1.98-2.05
O4 0.7300 0.2543 0.0871  1 Zn 1.98, 3 Ni 1.99-2.03
O5 0.7320 0.7537 0.5770  2 Ni 1.92-1.93, 2 Zn 2.03-2.05
O6 0.7322 0.2832 0.5770  2 Ni 1.92-1.93, 2 Zn 2.03-2.04
O7 0.2636 0.7585 0.2396  3 Ni 1.90-2.03, 1 Zn 2.12
O8 0.7238 0.2477 0.4269  3 Ni 1.96-1.97, 1 Zn 2.11
O9 0.7308 0.2799 0.2433  2 Ni 1.92, 2 Zn 2.04-2.05
O10 0.2822 0.7060 0.0848  2 Ni 1.91-1.92, 2 Zn 1.98-2.05
O11 0.2697 0.7421 0.9158  4 Ni 1.97-2.02
O12 0.2676 0.7163 0.4231  2 Ni 1.92-1.93, 2 Zn 2.03-2.04
O13 0.2819 0.2474 0.2411  3 Ni 1.97, 1 Zn 2.10
O14 0.7156 0.2889 0.9173  3 Ni 1.93-1.95, 1 Zn 2.08
O15 0.7180 0.7501 0.7607  3 Ni 1.96-1.98, 1 Zn 2.08
O16 0.7467 0.2416 0.7566  3 Ni 1.86-2.06
O17 0.2819 0.2567 0.0850  2 Ni 1.91-1.93, 2 Zn 1.97-2.05
O18 0.2681 0.2410 0.7553  2 Ni 1.90-1.94, 2 Zn 2.04-2.07
O19 0.2681 0.7249 0.7552  2 Ni 1.90-1.94, 2 Zn 2.04-2.07
O20 0.2678 0.2465 0.4231  2 Ni 1.92-1.93, 2 Zn 2.03-2.05
O21 0.7153 0.7448 0.9171  3 Ni 1.92-1.95, 1 Zn 2.08
O22 0.7274 0.7549 0.4209  3 Ni 1.89-2.01, 1 Zn 2.11
O23 0.7309 0.7596 0.2432  2 Ni 1.91, 2 Zn 2.04-2.05
O24 0.2762 0.7525 0.5730  3 Ni 1.96-1.97, 1 Zn 2.11

---

(x)
VASP calculation (GGA+U) on a relaxed ZnNi2O4 crystal.

magnetization: 2.001 μB per formula unit
crystal system: orthorhombic
calculated volume: 66.0 Å³/f.u.

Cell lengths 2.9028, 4.9998, 9.5062 Å; angles 90.00, 90.00, 106.88 degrees
Closest atoms and distances in Å follow each position.
Fractional positions:
Zn1 0.3914 0.7827 0.7500  6 O 2.04-2.25
Zn2 0.6086 0.2173 0.2500  6 O 2.04-2.25
O1 0.7735 0.5469 0.8871  3 Ni 1.95-2.02
O2 0.7735 0.5469 0.6129  3 Ni 1.95-2.02
O3 0.2265 0.4531 0.3871  3 Ni 1.95-2.02
O4 0.5000 0.0000 0.0000  4 Ni 2.04
O5 0.0410 0.0819 0.7500  2 Ni 1.93, 2 Zn 2.04
O6 0.5000 0.0000 0.5000  4 Ni 2.04
O7 0.9590 0.9181 0.2500  2 Ni 1.93, 2 Zn 2.04
O8 0.2265 0.4531 0.1129  3 Ni 1.95-2.02
Ni1 0.1330 0.2660 0.9311  6 O 1.93-2.04
Ni2 0.8670 0.7340 0.0689  6 O 1.93-2.04
Ni3 0.1330 0.2660 0.5689  6 O 1.93-2.04
Ni4 0.8670 0.7340 0.4311  6 O 1.93-2.04

---

Energetically preferred structure: (x) | next structure: +3.0 kJ/mol of atoms

---

(w)
VASP calculation (GGA+U) on a relaxed V3O5F crystal.

magnetization: 4.000 μB per formula unit
crystal system: monoclinic
calculated volume: 96.8 Å³/f.u.

Cell lengths 4.5755, 4.5719, 10.3160 Å; angles 63.74, 90.00, 90.00 degrees
Closest atoms and distances in Å follow each position.
Fractional positions:
O1 0.0433 0.6163 0.1739  3 V 1.92-2.03
O2 0.0542 0.3066 0.4974  3 V 1.89-2.00
O3 0.5593 0.6924 0.9969  3 V 1.92-1.98
O4 0.9444 0.9700 0.3317  1 V 1.77
O5 0.0556 0.9700 0.8317  1 V 1.77
O6 0.4550 0.0291 0.1742  3 V 1.90-2.05
O7 0.9567 0.6163 0.6739  3 V 1.92-2.03
O8 0.5450 0.0291 0.6742  3 V 1.90-2.05
O9 0.9458 0.3066 0.9974  3 V 1.89-2.00
O10 0.4407 0.6924 0.4969  3 V 1.92-1.98
V1 0.2497 0.9844 0.0072  5 O 1.98-2.05, 1 F 2.10
V2 0.2486 0.3373 0.6530  5 O 1.89-2.06
V3 0.2177 0.6954 0.3329  2 O 1.77-1.97
V4 0.7514 0.3373 0.1530  5 O 1.89-2.06
V5 0.7503 0.9844 0.5072  5 O 1.98-2.05, 1 F 2.10
V6 0.7823 0.6954 0.8329  2 O 1.77-1.97
F1 0.4544 0.3678 0.8331  3 V 2.10-2.14
F2 0.5456 0.3678 0.3331  3 V 2.10-2.14

---

(x)
VASP calculation (GGA+U) on a relaxed V3O5F crystal.

magnetization: 4.000 μB per formula unit
crystal system: monoclinic
calculated volume: 96.3 Å³/f.u.

Cell lengths 5.5053, 5.5053, 7.2742 Å; angles 71.86, 71.86, 71.01 degrees
Closest atoms and distances in Å follow each position.
Fractional positions:
V1 0.1716 0.1716 0.8425  5 O 1.93-2.05, 1 F 2.08
V2 0.5000 0.5000 0.0000  6 O 1.96-2.00
V3 0.1542 0.1542 0.3156  5 O 1.81-1.99
V4 0.5000 0.5000 0.5000  4 O 1.96-2.04, 2 F 2.05
V5 0.8284 0.8284 0.1575  5 O 1.93-2.05, 1 F 2.08
V6 0.8458 0.8458 0.6844  5 O 1.81-1.99
O1 0.8664 0.4696 0.8285  3 V 1.93-2.00
O2 0.8073 0.1927 0.5000  3 V 1.95-1.96
O3 0.0641 0.0641 0.1311  2 V 1.81-1.95
O4 0.5304 0.1336 0.1715  3 V 1.93-2.00
O5 0.6006 0.6006 0.1959  3 V 1.95-2.04
O6 0.3994 0.3994 0.8041  3 V 1.95-2.04
O7 0.9359 0.9359 0.8689  2 V 1.81-1.95
O8 0.1927 0.8073 0.5000  3 V 1.95-1.96
O9 0.4696 0.8664 0.8285  3 V 1.93-2.00
O10 0.1336 0.5304 0.1715  3 V 1.93-2.00
F1 0.7377 0.7377 0.4664  3 V 2.05-2.15
F2 0.2623 0.2623 0.5336  3 V 2.05-2.15

---

Energetically preferred structure: (w) | next structure: +2.1 kJ/mol of atoms